No. 1
This record from Materials Project describes Li2MnV3O8 after structural relaxation. The functional is GGA+U.

Output
As for the space group: No. 12. The energy above the most stable polymorph in this dataset comes out at 44 meV/atom. As for the total energy: -7.22 eV per atom.

Structure (extended XYZ):
```
28
Lattice="0.008 -3.403 4.879 8.942 5.089 0.005 -3.005 5.133 0.015" Properties=species:S:1:pos:R:3 pbc="T T T"
Mn -0.013 3.420 2.452
Mn 5.960 3.399 2.448
O 6.067 5.019 3.552
O 2.845 6.910 1.357
O -1.450 4.110 1.330
O 4.534 2.537 3.492
O 2.770 5.097 3.565
O 4.501 4.077 1.315
O 1.420 2.732 3.575
O 3.162 1.713 1.330
O 7.384 4.259 1.403
O 1.392 4.268 1.401
O 3.080 -0.105 3.537
O -0.185 -0.005 3.559
O 6.142 6.833 1.345
O 7.416 2.720 3.580
O -0.104 1.813 1.353
O -1.423 2.573 3.504
V -1.492 0.867 2.451
V 0.010 -1.698 2.444
V 4.470 -0.861 4.880
V -1.495 2.569 0.010
V 2.966 3.406 2.445
V 1.463 5.974 2.454
Li 1.523 0.847 0.633
Li 4.421 5.972 4.267
Li 4.492 5.959 0.643
Li 1.453 0.861 4.256
```

No. 2
This record from Materials Project describes Li2MnV3O8 after structural relaxation. The functional is GGA+U.

Output
As for the space group: No. 2. The energy above the most stable polymorph in this dataset comes out at 40 meV/atom. As for the total energy: -7.22 eV per atom.

Structure (extended XYZ):
```
28
Lattice="0.000 -3.439 4.872 8.965 5.132 -0.020 -3.004 5.160 0.001" Properties=species:S:1:pos:R:3 pbc="T T T"
O -0.111 1.801 1.356
O 6.161 6.879 1.298
O -1.465 2.556 3.492
O 7.425 4.296 1.361
O 4.536 4.118 1.237
O 2.865 7.022 1.245
O 1.427 4.254 1.427
O 2.782 5.041 3.651
O 3.179 1.811 1.202
O 7.399 2.752 3.549
O 6.072 5.052 3.497
O 3.096 -0.170 3.608
O -0.201 -0.027 3.556
O -1.439 4.100 1.305
O 1.424 2.734 3.616
O 4.533 2.599 3.426
Li 1.520 0.851 0.620
Li 1.450 0.833 4.264
Li 4.510 6.020 0.589
Li 4.441 6.001 4.233
V 1.478 6.006 2.427
V 7.462 5.991 2.417
V 2.981 3.426 2.426
V 4.482 2.566 -0.010
V 7.462 4.273 4.853
V 8.964 3.412 2.416
Mn 5.978 3.450 2.384
Mn -0.017 3.403 2.469
```